No. 1
VASP calculation (GGA-PBE) on crystalline CrCdInS4 at its relaxed geometry.

Cell and atoms, written as extended XYZ:
```
14
Lattice="-3.739 3.791 5.360 3.739 -3.791 5.360 3.739 3.791 -5.360" Properties=species:S:1:pos:R:3 pbc="T T T"
Cr -1.870 1.895 2.680
Cr 1.870 1.895 2.680
Cd 3.739 1.895 -1.356
Cd 0.000 1.895 6.716
In 0.000 0.000 0.000
In 0.000 3.791 0.000
S 1.773 1.895 0.247
S 1.966 -1.895 5.607
S 0.000 0.290 2.641
S 3.739 0.290 2.719
S 0.000 3.501 2.641
S 3.739 3.501 2.719
S 1.773 5.686 -0.247
S 1.966 1.895 5.113
```

Computed properties:
Crystal system = orthorhombic
Volume = 303.9 Å³/cell
Formation enthalpy at 0 K = -0.909 eV per atom


No. 2
VASP calculation (GGA-PBE) on crystalline NdTe2 at its relaxed geometry.

Cell and atoms, written as extended XYZ:
```
6
Lattice="4.508 0.000 0.000 0.000 4.508 0.000 0.000 0.000 9.189" Properties=species:S:1:pos:R:3 pbc="T T T"
Nd 1.127 1.127 2.089
Nd 3.381 3.381 7.100
Te 1.127 1.127 7.993
Te 1.127 3.381 4.595
Te 3.381 1.127 4.595
Te 3.381 3.381 1.196
```

Computed properties:
Crystal system = tetragonal
Volume = 186.8 Å³/cell
Formation enthalpy at 0 K = -1.537 eV per atom


No. 3
VASP calculation (GGA-PBE) on crystalline SmSi2Pt2 at its relaxed geometry.

Cell and atoms, written as extended XYZ:
```
10
Lattice="4.255 0.000 0.000 0.000 4.255 0.000 0.000 0.000 9.838" Properties=species:S:1:pos:R:3 pbc="T T T"
Sm 1.064 1.064 2.409
Sm 3.191 3.191 7.429
Si 1.064 1.064 6.223
Si 1.064 3.191 0.000
Si 3.191 1.064 0.000
Si 3.191 3.191 3.615
Pt 1.064 1.064 8.641
Pt 1.064 3.191 4.919
Pt 3.191 1.064 4.919
Pt 3.191 3.191 1.196
```

Computed properties:
Crystal system = tetragonal
Volume = 178.1 Å³/cell
Formation enthalpy at 0 K = -1.107 eV per atom


No. 4
VASP calculation (GGA-PBE) on crystalline HoLuAg2 at its relaxed geometry.

Cell and atoms, written as extended XYZ:
```
4
Lattice="0.000 3.584 3.584 3.584 0.000 3.584 3.584 3.584 0.000" Properties=species:S:1:pos:R:3 pbc="T T T"
Ho 0.000 0.000 0.000
Lu 3.584 3.584 3.584
Ag 1.792 1.792 1.792
Ag 5.376 5.376 5.376
```

Computed properties:
Crystal system = cubic
Volume = 92.1 Å³/cell
Formation enthalpy at 0 K = -0.341 eV per atom


No. 5
VASP calculation (GGA-PBE) on crystalline GaFeN2 at its relaxed geometry.

Cell and atoms, written as extended XYZ:
```
16
Lattice="5.427 0.000 0.000 0.000 6.286 0.000 0.000 0.000 5.101" Properties=species:S:1:pos:R:3 pbc="T T T"
Ga 0.474 0.771 0.000
Ga 2.239 3.914 2.550
Ga 3.188 2.372 0.000
Ga 4.953 5.515 2.550
Fe 0.399 3.926 5.079
Fe 2.315 0.783 2.528
Fe 3.112 5.503 5.079
Fe 5.029 2.360 2.528
N 0.420 3.909 1.837
N 0.528 0.832 1.988
N 2.186 3.975 4.538
N 2.294 0.765 4.388
N 3.133 5.521 1.837
N 3.241 2.311 1.988
N 4.900 5.454 4.538
N 5.008 2.378 4.388
```

Computed properties:
Crystal system = orthorhombic
Volume = 174.0 Å³/cell
Formation enthalpy at 0 K = -0.143 eV per atom


No. 6
VASP calculation (GGA-PBE) on crystalline RbCd6C12BrO26 at its relaxed geometry.

Cell and atoms, written as extended XYZ:
```
46
Lattice="4.769 2.753 8.126 -4.769 2.753 8.126 0.000 -5.507 8.126" Properties=species:S:1:pos:R:3 pbc="T T T"
Rb 0.000 0.000 0.000
Cd -0.615 -2.342 10.465
Cd -2.336 -0.639 13.912
Cd -1.721 1.704 10.465
Cd 1.721 -1.704 13.912
Cd 2.336 0.639 10.465
Cd 0.615 2.342 13.912
C -2.582 -3.526 12.640
C -2.503 -0.677 8.455
C -4.345 0.473 11.737
C 1.762 -3.999 11.737
C 1.838 -1.829 8.455
C -0.665 -2.506 15.922
C 0.665 2.506 8.455
C -1.838 1.829 15.922
C -1.762 3.999 12.640
C 4.345 -0.473 12.640
C 2.503 0.677 15.922
C 2.582 3.526 11.737
Br 0.000 0.000 12.189
O -1.519 -4.516 10.695
O -1.486 -2.881 8.353
O -4.671 -0.943 13.682
O -2.188 -2.371 12.253
O -1.862 -0.461 9.544
O -3.148 0.709 12.124
O 0.000 0.000 6.271
O -3.238 -0.153 16.024
O -1.752 2.728 8.353
O -3.152 3.573 10.695
O 0.960 -3.080 12.124
O -0.531 -1.843 14.833
O 1.330 -1.382 9.544
O -1.330 1.382 14.833
O 0.531 1.843 9.544
O -0.960 3.080 12.253
O 3.152 -3.573 13.682
O 1.752 -2.728 16.024
O 3.238 0.153 8.353
O 0.000 0.000 18.106
O 3.148 -0.709 12.253
O 1.862 0.461 14.833
O 2.188 2.371 12.124
O 4.671 0.943 10.695
O 1.486 2.881 16.024
O 1.519 4.516 13.682
```

Computed properties:
Crystal system = trigonal
Volume = 640.2 Å³/cell
Formation enthalpy at 0 K = -1.417 eV per atom


No. 7
VASP calculation (GGA-PBE) on crystalline CrSn4Au at its relaxed geometry.

Cell and atoms, written as extended XYZ:
```
12
Lattice="6.883 0.000 0.000 0.000 6.883 0.000 0.000 0.000 5.602" Properties=species:S:1:pos:R:3 pbc="T T T"
Cr 0.000 0.000 1.400
Cr 0.000 0.000 4.201
Sn 0.896 2.217 0.000
Sn 0.896 4.666 2.801
Sn 2.217 0.896 2.801
Sn 2.217 5.987 0.000
Sn 4.666 0.896 0.000
Sn 4.666 5.987 2.801
Sn 5.987 2.217 2.801
Sn 5.987 4.666 0.000
Au 3.441 3.441 0.000
Au 3.441 3.441 2.801
```

Computed properties:
Crystal system = tetragonal
Volume = 265.4 Å³/cell
Formation enthalpy at 0 K = 0.000 eV per atom


No. 8
VASP calculation (GGA-PBE) on crystalline La3Sb5O12 at its relaxed geometry.

Cell and atoms, written as extended XYZ:
```
40
Lattice="-5.662 5.662 5.662 5.662 -5.662 5.662 5.662 5.662 -5.662" Properties=species:S:1:pos:R:3 pbc="T T T"
La 5.662 2.831 0.000
La 5.662 0.000 2.831
La 2.831 5.662 0.000
La 2.831 0.000 5.662
La 0.000 5.662 2.831
La 0.000 2.831 5.662
Sb 2.824 2.824 -2.824
Sb 3.191 0.000 0.000
Sb 2.824 -2.824 2.824
Sb 8.133 0.000 0.000
Sb 0.000 3.191 0.000
Sb 0.000 0.000 3.191
Sb -2.824 2.824 2.824
Sb 2.838 2.838 2.838
Sb 0.000 8.133 0.000
Sb 0.000 0.000 8.133
O 4.423 1.102 -1.102
O 4.423 -1.102 1.102
O 7.562 1.555 -1.555
O 7.562 -1.555 1.555
O 4.107 4.107 -1.900
O 6.901 1.102 1.102
O 4.107 -1.900 4.107
O 3.762 1.555 1.555
O 1.102 4.423 -1.102
O 1.102 -1.102 4.423
O 1.555 3.762 1.555
O 1.555 1.555 3.762
O -1.102 4.423 1.102
O -1.102 1.102 4.423
O 4.560 4.560 1.239
O 4.560 1.239 4.560
O 1.555 7.562 -1.555
O 1.555 -1.555 7.562
O 1.102 6.901 1.102
O 1.102 1.102 6.901
O -1.900 4.107 4.107
O -1.555 7.562 1.555
O 1.239 4.560 4.560
O -1.555 1.555 7.562
```

Computed properties:
Crystal system = cubic
Volume = 726.1 Å³/cell
Formation enthalpy at 0 K = -2.640 eV per atom


- The highest formation enthalpy at 0 K belongs to which entry?
  CrSn4Au


- Which value of volume does entry 6 give?
  640.2 Å³/cell


- formation enthalpy at 0 K of number 8 (La3Sb5O12)?
  -2.640 eV per atom


- Which value of formation enthalpy at 0 K does entry 8 give?
  -2.640 eV per atom